Arrangement w

DFT (GGA+U) results for Li3V3B2O10 after structural relaxation.

Calculated values
- Space group: P2_1, No. 4

a b c (Å): 2.995 12.100 9.404
angles (deg): 90.00 91.30 90.00
Fractional positions:
1 Li 0.000 0.000 0.241
2 Li 0.000 0.500 0.759
3 Li 0.002 0.786 0.743
4 Li 0.499 0.296 0.762
5 Li 0.501 0.796 0.238
6 Li 0.998 0.286 0.257
7 V 0.000 0.072 0.750
8 V 0.000 0.572 0.250
9 V 0.478 0.897 0.500
10 V 0.483 0.678 0.981
11 V 0.517 0.178 0.019
12 V 0.522 0.397 0.500
13 B 0.498 0.145 0.480
14 B 0.499 0.423 0.017
15 B 0.501 0.923 0.983
16 B 0.502 0.645 0.520
17 O 0.007 0.437 0.364
18 O 0.011 0.207 0.876
19 O 0.011 0.860 0.383
20 O 0.014 0.642 0.869
21 O 0.484 0.326 0.099
22 O 0.492 0.930 0.123
23 O 0.496 0.547 0.591
24 O 0.497 0.245 0.410
25 O 0.498 0.524 0.103
26 O 0.500 0.143 0.633
27 O 0.500 0.643 0.367
28 O 0.502 0.024 0.897
29 O 0.503 0.745 0.590
30 O 0.504 0.047 0.409
31 O 0.508 0.430 0.877
32 O 0.516 0.826 0.901
33 O 0.986 0.142 0.131
34 O 0.989 0.360 0.617
35 O 0.989 0.707 0.124
36 O 0.993 0.937 0.636

=====

Arrangement x

DFT (GGA+U) results for Li3V3B2O10 after structural relaxation.

Calculated values
- Space group: Pm, No. 6

a b c (Å): 9.119 3.118 12.280
angles (deg): 90.00 90.03 90.00
Fractional positions:
1 Li 0.000 0.000 0.000
2 Li 0.029 0.500 0.483
3 Li 0.271 0.500 0.374
4 Li 0.533 0.500 0.993
5 Li 0.765 0.500 0.602
6 Li 0.801 0.500 0.106
7 V 0.015 0.000 0.699
8 V 0.023 0.000 0.277
9 V 0.260 0.500 0.881
10 V 0.519 0.000 0.489
11 V 0.528 0.000 0.199
12 V 0.532 0.000 0.777
13 B 0.241 0.500 0.131
14 B 0.301 0.500 0.632
15 B 0.740 0.500 0.349
16 B 0.809 0.500 0.854
17 O 0.127 0.000 0.403
18 O 0.133 0.000 0.829
19 O 0.150 0.500 0.635
20 O 0.160 0.500 0.227
21 O 0.179 0.500 0.031
22 O 0.377 0.500 0.533
23 O 0.378 0.500 0.730
24 O 0.396 0.500 0.147
25 O 0.406 0.000 0.906
26 O 0.446 0.000 0.351
27 O 0.599 0.000 0.626
28 O 0.622 0.000 0.079
29 O 0.653 0.500 0.836
30 O 0.658 0.500 0.253
31 O 0.662 0.500 0.449
32 O 0.868 0.500 0.952
33 O 0.889 0.500 0.348
34 O 0.892 0.500 0.755
35 O 0.916 0.000 0.578
36 O 0.925 0.000 0.154

=====

Which one sits at the top of the stability order? arrangement w does.

=====

Arrangement w

DFT (GGA+U) results for MgV2Co2O8 after structural relaxation.

Calculated values
- Space group: C2/m, No. 12

a b c (Å): 5.854 5.854 5.856
angles (deg): 118.03 118.03 62.07
Fractional positions:
1 Mg 0.000 0.000 0.000
2 V 0.377 0.377 0.122
3 V 0.623 0.623 0.878
4 Co 0.000 0.500 0.500
5 Co 0.500 0.000 0.500
6 O 0.246 0.246 0.251
7 O 0.262 0.262 0.766
8 O 0.264 0.730 0.236
9 O 0.270 0.736 0.764
10 O 0.730 0.264 0.236
11 O 0.736 0.270 0.764
12 O 0.738 0.738 0.234
13 O 0.754 0.754 0.749

=====

Arrangement x

DFT (GGA+U) results for MgV2Co2O8 after structural relaxation.

Calculated values
- Space group: Amm2, No. 38

a b c (Å): 6.384 5.229 5.229
angles (deg): 66.13 90.00 90.00
Fractional positions:
1 Mg 0.000 0.000 0.000
2 V 0.000 0.314 0.314
3 V 0.500 0.015 0.015
4 Co 0.258 0.658 0.658
5 Co 0.742 0.658 0.658
6 O 0.000 0.422 0.935
7 O 0.000 0.935 0.422
8 O 0.210 0.429 0.429
9 O 0.275 0.900 0.900
10 O 0.500 0.381 0.883
11 O 0.500 0.883 0.381
12 O 0.725 0.900 0.900
13 O 0.790 0.429 0.429

=====

Which one sits at the top of the stability order? arrangement w does.

=====

Arrangement w

DFT (GGA+U) results for LiMn4O8 after structural relaxation.

Calculated values
- Space group: P2_13, No. 198

a b c (Å): 8.347 8.347 8.347
angles (deg): 90.00 90.00 90.00
Fractional positions:
1 Li 0.005 0.005 0.005
2 Li 0.495 0.995 0.505
3 Li 0.505 0.495 0.995
4 Li 0.995 0.505 0.495
5 Mn 0.119 0.128 0.626
6 Mn 0.123 0.877 0.377
7 Mn 0.126 0.381 0.872
8 Mn 0.128 0.626 0.119
9 Mn 0.372 0.374 0.619
10 Mn 0.374 0.619 0.372
11 Mn 0.377 0.123 0.877
12 Mn 0.381 0.872 0.126
13 Mn 0.619 0.372 0.374
14 Mn 0.623 0.623 0.623
15 Mn 0.626 0.119 0.128
16 Mn 0.628 0.874 0.881
17 Mn 0.872 0.126 0.381
18 Mn 0.874 0.881 0.628
19 Mn 0.877 0.377 0.123
20 Mn 0.881 0.628 0.874
21 O 0.102 0.118 0.396
22 O 0.104 0.898 0.618
23 O 0.114 0.614 0.886
24 O 0.118 0.396 0.102
25 O 0.133 0.146 0.860
26 O 0.136 0.364 0.636
27 O 0.140 0.633 0.354
28 O 0.146 0.860 0.133
29 O 0.354 0.140 0.633
30 O 0.360 0.367 0.854
31 O 0.364 0.636 0.136
32 O 0.367 0.854 0.360
33 O 0.382 0.604 0.602
34 O 0.386 0.386 0.386
35 O 0.396 0.102 0.118
36 O 0.398 0.882 0.896
37 O 0.602 0.382 0.604
38 O 0.604 0.602 0.382
39 O 0.614 0.886 0.114
40 O 0.618 0.104 0.898
41 O 0.633 0.354 0.140
42 O 0.636 0.136 0.364
43 O 0.640 0.867 0.646
44 O 0.646 0.640 0.867
45 O 0.854 0.360 0.367
46 O 0.860 0.133 0.146
47 O 0.864 0.864 0.864
48 O 0.867 0.646 0.640
49 O 0.882 0.896 0.398
50 O 0.886 0.114 0.614
51 O 0.896 0.398 0.882
52 O 0.898 0.618 0.104

=====

Arrangement x

DFT (GGA+U) results for LiMn4O8 after structural relaxation.

Calculated values
- Space group: C2/m, No. 12

a b c (Å): 5.741 5.741 6.118
angles (deg): 118.77 118.77 60.10
Fractional positions:
1 Li 0.000 0.000 0.000
2 Mn 0.000 0.000 0.500
3 Mn 0.000 0.500 0.500
4 Mn 0.500 0.000 0.500
5 Mn 0.500 0.500 0.500
6 O 0.229 0.736 0.697
7 O 0.232 0.232 0.690
8 O 0.264 0.264 0.303
9 O 0.264 0.771 0.303
10 O 0.736 0.229 0.697
11 O 0.736 0.736 0.697
12 O 0.768 0.768 0.310
13 O 0.771 0.264 0.303

=====

Which one sits at the top of the stability order? arrangement w does.